1.
Here is a relaxed structure of Ba3ZrF10 from the Materials Project database. Energies are from PBE.

Cell lengths 11.1537, 13.4964, 6.1916 Å; angles 90.00, 90.00, 90.00 degrees
Closest atoms and distances in Å follow each position.
Space group Cmcm (No. 63)
Asymmetric unit:
Ba 0.0000 0.1116 0.2500  8 F 2.65-2.75
Ba 0.2146 0.3881 0.2500  9 F 2.72-2.98
Zr 0.0000 0.3222 0.7500  8 F 2.07-2.20
F 0.0000 0.3975 0.0419  1 Zr 2.07
F 0.1168 0.2320 0.5408  1 Zr 2.20
F 0.1382 0.0000 0.0000  4 Ba 2.65-2.72
F 0.1611 0.4074 0.7500  1 Zr 2.13

Computed properties:
The value obtained for the density is 4.94 Mg/m³. The formation energy is -58.2 eV/f.u.

=====

2.
Here is a relaxed structure of Sr4Bi2O from the Materials Project database. Energies are from PBE.

Cell lengths 5.0642, 5.0642, 17.7249 Å; angles 90.00, 90.00, 90.00 degrees
Closest atoms and distances in Å follow each position.
Space group I4/mmm (No. 139)
Asymmetric unit:
Sr 0.0000 0.0000 0.1670  1 O 2.96
Sr 0.0000 0.5000 0.0000  2 O 2.53
Bi 0.0000 0.0000 0.3613  9 Sr 3.44-3.62
O 0.0000 0.0000 0.0000  4 Sr 2.53

Computed properties:
The value obtained for the density is 5.73 Mg/m³. The formation energy is -11.0 eV/f.u.

=====

3.
Here is a relaxed structure of LaNb3O9 from the Materials Project database. Energies are from PBE.

Cell lengths 16.8960, 5.6234, 9.8173 Å; angles 90.00, 125.02, 90.00 degrees
Closest atoms and distances in Å follow each position.
Space group Cm (No. 8)
Asymmetric unit:
La 0.0000 0.0000 0.0000  12 O 2.66-2.86
La 0.1605 0.5000 0.9993  12 O 2.60-2.88
Nb 0.0770 0.0000 0.7339  6 O 1.92-2.15
Nb 0.0840 0.5000 0.2659  5 O 1.89-2.03
Nb 0.2450 0.5000 0.7499  6 O 1.95-2.03
Nb 0.2557 0.0000 0.2587  6 O 1.93-2.09
Nb 0.4055 0.0000 0.7410  6 O 1.94-2.12
Nb 0.4158 0.5000 0.2507  6 O 1.97-2.03
O 0.0056 0.5000 0.9968  2 Nb 2.07-2.17
O 0.0073 0.2440 0.7745  2 Nb 1.99-2.12
O 0.1553 0.2546 0.2232  2 Nb 2.03-2.09
O 0.1574 0.0000 0.0002  2 Nb 2.09-2.15
O 0.1658 0.5000 0.5015  2 Nb 1.89-2.00
O 0.1675 0.2614 0.7684  2 Nb 1.95-2.00
O 0.3213 0.2641 0.2316  2 Nb 1.96-2.00
O 0.3305 0.5000 0.9986  2 Nb 2.00-2.03
O 0.3319 0.0000 0.4990  2 Nb 1.93-1.95
O 0.3410 0.2640 0.7657  2 Nb 1.94-2.03
O 0.4946 0.2603 0.2291  2 Nb 1.98-1.99
O 0.4960 0.5000 0.4957  2 Nb 1.92-1.97

Computed properties:
The value obtained for the density is 4.88 Mg/m³. The formation energy is -42.2 eV/f.u.

=====

4.
Here is a relaxed structure of KTlCo4Se4 from the Materials Project database. Energies are from PBE.

Cell lengths 3.8906, 3.8906, 13.3087 Å; angles 90.00, 90.00, 90.00 degrees
Closest atoms and distances in Å follow each position.
Space group P4/mmm (No. 123)
Asymmetric unit:
K 0.0000 0.0000 0.0000  8 Se 3.41
Tl 0.5000 0.5000 0.5000  8 Se 3.42
Co 0.0000 0.5000 0.2497  4 Se 2.34-2.35
Se 0.0000 0.0000 0.3479  4 Co 2.34
Se 0.5000 0.5000 0.1511  4 Co 2.35

Computed properties:
The value obtained for the density is 6.55 Mg/m³. The formation energy is -5.4 eV/f.u.

=====

5.
Here is a relaxed structure of RbYP4O12 from the Materials Project database. Energies are from PBE.

Cell lengths 10.4655, 8.9802, 12.9081 Å; angles 90.00, 124.40, 90.00 degrees
Closest atoms and distances in Å follow each position.
Space group P2_1/c (No. 14)
Asymmetric unit:
Rb 0.2348 0.0663 0.0418  8 O 2.97-3.33
Y 0.3155 0.7270 0.8170  8 O 2.30-2.46
P 0.0266 0.0257 0.2788  4 O 1.50-1.63
P 0.1992 0.6099 0.0233  4 O 1.50-1.62
P 0.3245 0.1715 0.3648  4 O 1.50-1.63
P 0.3887 0.0916 0.7415  4 O 1.50-1.63
O 0.0399 0.5471 0.9002  2 P 1.62-1.63
O 0.0718 0.5851 0.7173  1 P 1.51
O 0.1313 0.5937 0.3011  1 P 1.50
O 0.1552 0.1581 0.3416  2 P 1.63
O 0.1644 0.7124 0.0963  1 P 1.50
O 0.2669 0.0473 0.5966  2 P 1.61-1.62
O 0.2802 0.2088 0.7546  2 P 1.63
O 0.2979 0.6672 0.9819  1 P 1.50
O 0.3666 0.0286 0.3312  1 P 1.50
O 0.4239 0.5410 0.3244  1 P 1.50
O 0.4290 0.2416 0.4912  1 P 1.50
O 0.4792 0.6751 0.7453  1 P 1.50

Computed properties:
The value obtained for the density is 3.25 Mg/m³. The formation energy is -52.5 eV/f.u.

=====

6.
Here is a relaxed structure of NaCeC4O11 from the Materials Project database. Energies are from PBE.

Cell lengths 13.8206, 7.6721, 9.8522 Å; angles 90.00, 105.89, 90.00 degrees
Closest atoms and distances in Å follow each position.
Space group P2/c (No. 13)
Asymmetric unit:
Na 0.2352 0.2348 0.1152  5 O 2.39-2.54
Ce 0.2371 0.2685 0.7660  1 O 1.90
C 0.0135 0.2906 0.8322  2 O 1.26-1.27
C 0.2270 0.1368 0.4346  2 O 1.27
C 0.2319 0.3396 0.4276  2 O 1.27
C 0.5000 0.0830 0.7500  2 O 1.17
C 0.5000 0.4835 0.7500  2 O 1.18
O 0.9998 0.1340 0.1875  1 O 1.23
O 0.0588 0.2935 0.6131  1 C 1.26
O 0.1066 0.2835 0.8963  1 C 1.27
O 0.2194 0.4111 0.3074  1 C 1.27
O 0.2207 0.0508 0.3228  1 C 1.27
O 0.2286 0.0754 0.5548  1 C 1.27
O 0.2472 0.4176 0.5450  1 C 1.27
O 0.3321 0.2594 0.9465  1 Ce 1.90, 1 O 2.10
O 0.4145 0.0839 0.7469  1 C 1.17
O 0.4200 0.4746 0.7700  1 C 1.18
O 0.4798 0.2434 0.0789  1 O 2.10

Computed properties:
The value obtained for the density is 2.56 Mg/m³. The formation energy is -24.1 eV/f.u.

=====

Question: Among the records above, which one has the lowest density?
Answer: NaCeC4O11

=====

Question: Which value of density does entry 6 give?
Answer: 2.56 Mg/m³